Entry 1:
First-principles (PBE) data for an optimized crystal structure of Zr3BiF15, as listed in the Materials Project.

Properties
Calculated volume (Å³/atom): 14.24
Uncorrected energy (eV for the cell shown): -244.999
Space group: C2/c (15)
Energy above the most stable polymorph in this dataset (meV/atom): 3

CIF file:
```
data_Zr3BiF15
_space_group_name_H-M_alt 'P 1'
_space_group_IT_number 1
_cell_length_a 8.309
_cell_length_b 8.309
_cell_length_c 8.281
_cell_angle_alpha 79.79
_cell_angle_beta 79.79
_cell_angle_gamma 99.96
loop_
_space_group_symop_operation_xyz
'x,y,z'
loop_
_atom_site_label
_atom_site_fract_x
_atom_site_fract_y
_atom_site_fract_z
Zr1 0.744 0.677 0.677
F1 0.949 0.745 0.476
F2 0.255 0.051 0.024
F3 0.495 0.228 0.275
F4 0.686 0.650 0.947
F5 0.726 0.995 0.279
Zr2 0.677 0.744 0.177
F6 0.771 0.285 0.998
Bi1 0.177 0.823 0.250
F7 0.467 0.845 0.185
F8 0.650 0.686 0.447
F9 0.274 0.005 0.721
F10 0.228 0.495 0.775
Zr3 0.256 0.323 0.323
F11 0.772 0.505 0.225
F12 0.845 0.467 0.685
F13 0.811 0.932 0.648
F14 0.932 0.811 0.148
F15 0.051 0.255 0.524
F16 0.314 0.350 0.053
F17 0.229 0.715 0.002
Zr4 0.323 0.256 0.823
Zr5 0.752 0.248 0.250
F18 0.005 0.274 0.221
F19 0.155 0.533 0.315
F20 0.995 0.726 0.779
F21 0.466 0.534 0.250
F22 0.534 0.466 0.750
F23 0.745 0.949 0.976
F24 0.350 0.314 0.553
F25 0.189 0.068 0.352
F26 0.285 0.771 0.498
F27 0.505 0.772 0.725
Zr6 0.248 0.752 0.750
F28 0.068 0.189 0.852
Bi2 0.823 0.177 0.750
F29 0.533 0.155 0.815
F30 0.715 0.229 0.502
```

***

Entry 2:
First-principles (PBE) data for an optimized crystal structure of RhSe2Cl7, as listed in the Materials Project.

Properties
Calculated volume (Å³/atom): 36.26
Uncorrected energy (eV for the cell shown): -126.070
Space group: P2_1/c (14)

CIF file:
```
data_RhSe2Cl7
_space_group_name_H-M_alt 'P 1'
_space_group_IT_number 1
_cell_length_a 14.345
_cell_length_b 8.219
_cell_length_c 12.379
_cell_angle_alpha 83.59
_cell_angle_beta 90.00
_cell_angle_gamma 90.00
loop_
_space_group_symop_operation_xyz
'x,y,z'
loop_
_atom_site_label
_atom_site_fract_x
_atom_site_fract_y
_atom_site_fract_z
Cl1 0.893 0.310 0.959
Cl2 0.427 0.078 0.411
Cl3 0.243 0.968 0.619
Rh1 0.593 0.043 0.400
Se1 0.929 0.774 0.847
Cl4 0.393 0.690 0.541
Cl5 0.073 0.078 0.911
Cl6 0.573 0.922 0.589
Cl7 0.321 0.906 0.894
Se2 0.361 0.775 0.756
Se3 0.861 0.225 0.744
Cl8 0.821 0.094 0.606
Cl9 0.607 0.310 0.459
Cl10 0.490 0.665 0.832
Cl11 0.485 0.802 0.200
Cl12 0.015 0.802 0.700
Cl13 0.299 0.307 0.726
Cl14 0.679 0.094 0.106
Se4 0.639 0.225 0.244
Cl15 0.257 0.968 0.119
Cl16 0.743 0.032 0.881
Se5 0.071 0.226 0.153
Cl17 0.515 0.198 0.800
Cl18 0.985 0.198 0.300
Se6 0.429 0.226 0.653
Cl19 0.990 0.335 0.668
Cl20 0.799 0.693 0.774
Cl21 0.010 0.665 0.332
Se7 0.139 0.775 0.256
Cl22 0.701 0.693 0.274
Cl23 0.510 0.335 0.168
Cl24 0.757 0.032 0.381
Cl25 0.107 0.690 0.041
Rh2 0.093 0.957 0.100
Cl26 0.179 0.906 0.394
Rh3 0.407 0.957 0.600
Cl27 0.201 0.307 0.226
Se8 0.571 0.774 0.347
Cl28 0.927 0.922 0.089
Rh4 0.907 0.043 0.900
```

***

Entry 3:
First-principles (PBE) data for an optimized crystal structure of Na2Mg2SiGe2S5O24, as listed in the Materials Project.

Properties
Calculated volume (Å³/atom): 12.96
Uncorrected energy (eV for the cell shown): -664.543
Space group: P1 (1)

CIF file:
```
data_Na2Mg2SiGe2S5O24
_space_group_name_H-M_alt 'P 1'
_space_group_IT_number 1
_cell_length_a 8.562
_cell_length_b 8.548
_cell_length_c 22.114
_cell_angle_alpha 89.95
_cell_angle_beta 89.56
_cell_angle_gamma 120.12
loop_
_space_group_symop_operation_xyz
'x,y,z'
loop_
_atom_site_label
_atom_site_fract_x
_atom_site_fract_y
_atom_site_fract_z
O1 0.372 0.886 0.861
O2 0.331 0.854 0.581
O3 0.850 0.816 0.588
O4 0.495 0.367 0.416
O5 0.642 0.139 0.420
O6 0.320 0.858 0.972
O7 0.147 0.483 0.579
S1 0.706 0.707 0.250
O8 0.520 0.678 0.255
O9 0.782 0.823 0.194
O10 0.504 0.180 0.238
Mg1 0.324 0.667 0.024
O11 0.153 0.686 0.469
O12 0.227 0.049 0.309
Si1 0.710 0.003 0.754
Na1 0.341 0.673 0.664
O13 0.803 0.810 0.914
Na2 0.650 0.322 0.336
S2 0.626 0.960 0.416
Mg2 0.997 0.001 0.852
O14 0.435 0.144 0.530
O15 0.370 0.492 0.077
S3 0.287 0.292 0.751
O16 0.675 0.167 0.744
O17 0.842 0.538 0.743
S4 0.039 0.663 0.417
S5 0.377 0.327 0.084
O18 0.513 0.150 0.923
O19 0.213 0.185 0.806
O20 0.184 0.989 0.912
O21 0.147 0.471 0.971
Na3 0.002 0.002 0.498
O22 0.792 0.952 0.691
S6 0.341 0.964 0.918
Na4 0.668 0.316 0.825
S7 0.360 0.039 0.587
O23 0.632 0.123 0.138
O24 0.176 0.025 0.594
O25 0.861 0.499 0.420
O26 0.856 0.298 0.530
Ge1 0.676 0.348 0.981
O27 0.165 0.684 0.756
Mg3 0.666 0.328 0.685
Na5 0.317 0.670 0.166
S8 0.004 0.712 0.751
O28 0.824 0.539 0.024
O29 0.166 0.212 0.409
O30 0.030 0.203 0.192
O31 0.166 0.469 0.253
O32 0.145 0.643 0.083
O33 0.878 0.348 0.639
O34 0.190 0.167 0.090
S9 0.674 0.633 0.585
O35 0.698 0.552 0.529
O36 0.625 0.481 0.921
O37 0.802 0.972 0.407
O38 0.120 0.632 0.358
O39 0.503 0.811 0.757
O40 0.025 0.201 0.914
O41 0.175 0.953 0.190
S10 0.618 0.658 0.919
O42 0.954 0.818 0.091
S11 0.002 0.287 0.248
O43 0.510 0.629 0.862
S12 0.677 0.050 0.084
Ge2 0.010 0.979 0.151
Na6 0.997 0.991 0.999
O44 0.514 0.881 0.358
O45 0.537 0.848 0.469
O46 0.848 0.492 0.145
O47 0.524 0.869 0.077
O48 0.173 0.212 0.695
O49 0.654 0.528 0.639
O50 0.471 0.331 0.741
O51 0.707 0.165 0.028
Mg4 0.335 0.670 0.522
Mg5 0.014 0.005 0.351
O52 0.468 0.123 0.639
Si2 0.950 0.620 0.086
O53 0.989 0.797 0.806
O54 0.051 0.830 0.695
Si3 0.301 0.002 0.251
O55 0.855 0.362 0.921
O56 0.289 0.471 0.757
Ge3 0.670 0.328 0.186
O57 0.840 0.311 0.242
O58 0.121 0.491 0.860
Ge4 0.340 0.672 0.810
O59 0.522 0.667 0.580
O60 0.318 0.477 0.467
Ge5 0.334 0.682 0.318
S13 0.043 0.381 0.918
S14 0.962 0.327 0.585
Ge6 0.985 0.994 0.650
O61 0.530 0.676 0.972
O62 0.693 0.527 0.243
O63 0.484 0.349 0.139
Mg6 0.663 0.331 0.484
O64 0.815 0.791 0.303
O65 0.818 0.025 0.813
O66 0.023 0.825 0.410
O67 0.967 0.178 0.302
O68 0.980 0.158 0.590
O69 0.451 0.282 0.029
S15 0.334 0.386 0.415
O70 0.323 0.819 0.258
O71 0.365 0.500 0.355
O72 0.849 0.051 0.092
```

***

Entry 4:
First-principles (PBE) data for an optimized crystal structure of Rb2HfF6, as listed in the Materials Project.

Properties
Calculated volume (Å³/atom): 18.36
Uncorrected energy (eV for the cell shown): -54.403
Space group: P-3m1 (164)

CIF file:
```
data_Rb2HfF6
_space_group_name_H-M_alt 'P 1'
_space_group_IT_number 1
_cell_length_a 6.223
_cell_length_b 6.223
_cell_length_c 4.926
_cell_angle_alpha 90.00
_cell_angle_beta 90.00
_cell_angle_gamma 120.00
loop_
_space_group_symop_operation_xyz
'x,y,z'
loop_
_atom_site_label
_atom_site_fract_x
_atom_site_fract_y
_atom_site_fract_z
F1 0.156 0.844 0.226
Hf1 0.000 0.000 0.000
F2 0.689 0.844 0.226
F3 0.311 0.156 0.774
F4 0.844 0.689 0.774
F5 0.844 0.156 0.774
Rb1 0.333 0.667 0.688
F6 0.156 0.311 0.226
Rb2 0.667 0.333 0.312
```

***

Entry 5:
First-principles (PBE) data for an optimized crystal structure of LiYAu2, as listed in the Materials Project.

Properties
Calculated volume (Å³/atom): 20.46
Uncorrected energy (eV for the cell shown): -17.773
Space group: Fm-3m (225)

CIF file:
```
data_LiYAu2
_space_group_name_H-M_alt 'P 1'
_space_group_IT_number 1
_cell_length_a 4.873
_cell_length_b 4.873
_cell_length_c 4.873
_cell_angle_alpha 60.00
_cell_angle_beta 60.00
_cell_angle_gamma 60.00
loop_
_space_group_symop_operation_xyz
'x,y,z'
loop_
_atom_site_label
_atom_site_fract_x
_atom_site_fract_y
_atom_site_fract_z
Li1 0.500 0.500 0.500
Y1 0.000 0.000 0.000
Au1 0.250 0.250 0.250
Au2 0.750 0.750 0.750
```

***

Which of these has the highest uncorrected energy? LiYAu2

***

What is the calculated volume in the fourth record? 18.36 Å³/atom

***

Copy entry 2 word for word.
First-principles (PBE) data for an optimized crystal structure of RhSe2Cl7, as listed in the Materials Project.

Properties
Calculated volume (Å³/atom): 36.26
Uncorrected energy (eV for the cell shown): -126.070
Space group: P2_1/c (14)

CIF file:
```
data_RhSe2Cl7
_space_group_name_H-M_alt 'P 1'
_space_group_IT_number 1
_cell_length_a 14.345
_cell_length_b 8.219
_cell_length_c 12.379
_cell_angle_alpha 83.59
_cell_angle_beta 90.00
_cell_angle_gamma 90.00
loop_
_space_group_symop_operation_xyz
'x,y,z'
loop_
_atom_site_label
_atom_site_fract_x
_atom_site_fract_y
_atom_site_fract_z
Cl1 0.893 0.310 0.959
Cl2 0.427 0.078 0.411
Cl3 0.243 0.968 0.619
Rh1 0.593 0.043 0.400
Se1 0.929 0.774 0.847
Cl4 0.393 0.690 0.541
Cl5 0.073 0.078 0.911
Cl6 0.573 0.922 0.589
Cl7 0.321 0.906 0.894
Se2 0.361 0.775 0.756
Se3 0.861 0.225 0.744
Cl8 0.821 0.094 0.606
Cl9 0.607 0.310 0.459
Cl10 0.490 0.665 0.832
Cl11 0.485 0.802 0.200
Cl12 0.015 0.802 0.700
Cl13 0.299 0.307 0.726
Cl14 0.679 0.094 0.106
Se4 0.639 0.225 0.244
Cl15 0.257 0.968 0.119
Cl16 0.743 0.032 0.881
Se5 0.071 0.226 0.153
Cl17 0.515 0.198 0.800
Cl18 0.985 0.198 0.300
Se6 0.429 0.226 0.653
Cl19 0.990 0.335 0.668
Cl20 0.799 0.693 0.774
Cl21 0.010 0.665 0.332
Se7 0.139 0.775 0.256
Cl22 0.701 0.693 0.274
Cl23 0.510 0.335 0.168
Cl24 0.757 0.032 0.381
Cl25 0.107 0.690 0.041
Rh2 0.093 0.957 0.100
Cl26 0.179 0.906 0.394
Rh3 0.407 0.957 0.600
Cl27 0.201 0.307 0.226
Se8 0.571 0.774 0.347
Cl28 0.927 0.922 0.089
Rh4 0.907 0.043 0.900
```

***

Which of these has the lowest uncorrected energy? Na2Mg2SiGe2S5O24